Entry from Materials Project: a geometry-optimized EuSnPt structure (PBE-GGA).

Summary:
SG: Pnma (62)

Cell: 4.7196 7.5886 8.0351 Å, 90.00 90.00 90.00°
Atoms (fractional coordinates):
Pt1 0.7500 0.7052 0.6047
Pt2 0.2500 0.7948 0.1047
Pt3 0.7500 0.2052 0.8953
Pt4 0.2500 0.2948 0.3953
Eu1 0.7500 0.9806 0.3168
Eu2 0.2500 0.5194 0.8168
Eu3 0.2500 0.0194 0.6832
Eu4 0.7500 0.4806 0.1832
Sn1 0.2500 0.6644 0.4247
Sn2 0.7500 0.8356 0.9247
Sn3 0.2500 0.1644 0.0753
Sn4 0.7500 0.3356 0.5753

---

Entry from Materials Project: a geometry-optimized Sm4Fe27Co7C2 structure (PBE-GGA).

Summary:
SG: Cm (8)
spin magnetization: 71.40 Bohr magnetons per cell

Cell: 6.4824 6.4824 12.9092 Å, 83.56 83.56 83.56°
Atoms (fractional coordinates):
Fe1 0.0924 0.0924 0.5463
Fe2 0.7123 0.0002 0.6431
Fe3 0.0950 0.0950 0.0474
Fe4 0.2861 0.7145 0.9999
Fe5 0.2884 0.9992 0.3567
Fe6 0.8493 0.3404 0.1711
Fe7 0.0002 0.7123 0.6431
Fe8 0.7145 0.2861 0.9999
Fe9 0.6574 0.6574 0.0744
Fe10 0.3420 0.3420 0.4251
Fe11 0.7128 0.2870 0.5000
Fe12 0.6594 0.1503 0.8292
Fe13 0.3424 0.3424 0.9259
Fe14 0.1488 0.6606 0.3303
Fe15 0.9998 0.7121 0.1436
Fe16 0.9992 0.2884 0.3567
Fe17 0.1503 0.6594 0.8292
Fe18 0.3404 0.8493 0.1711
Fe19 0.6590 0.6590 0.5735
Fe20 0.8496 0.3408 0.6706
Fe21 0.9047 0.9047 0.9524
Fe22 0.7121 0.9998 0.1436
Fe23 0.0001 0.2882 0.8563
Fe24 0.3408 0.8496 0.6706
Fe25 0.2882 0.0001 0.8563
Fe26 0.2870 0.7128 0.5000
Fe27 0.6606 0.1488 0.3303
C1 0.5001 0.5001 0.0000
C2 0.5001 0.5001 0.5001
Co1 0.0002 0.0002 0.7498
Co2 0.9050 0.9050 0.4526
Co3 0.0001 0.0001 0.2503
Co4 0.5003 0.0001 0.9999
Co5 0.0001 0.5003 0.9999
Co6 0.4999 0.0002 0.5001
Co7 0.0002 0.4999 0.5001
Sm1 0.3390 0.3390 0.1763
Sm2 0.6615 0.6615 0.8240
Sm3 0.3390 0.3390 0.6760
Sm4 0.6619 0.6619 0.3244

---

Entry from Materials Project: a geometry-optimized Na10La4Ta4Si9S3O48 structure (PBE-GGA).

Summary:
SG: P1 (1)
spin magnetization: 0.00 Bohr magnetons per cell
corrected total energy (MP2020 scheme): -603.94 eV per formula unit

Cell: 18.9530 9.3782 22.9724 Å, 90.24 88.46 119.84°
Atoms (fractional coordinates):
O1 0.8130 0.4793 0.9149
O2 0.5130 0.8388 0.6959
O3 0.5072 0.7988 0.8136
O4 0.1592 0.8593 0.5768
O5 0.8298 0.5262 0.6371
O6 0.9257 0.2957 0.5308
O7 0.0750 0.6910 0.0740
O8 0.8106 0.1051 0.1378
O9 0.7642 0.3758 0.4212
O10 0.4460 0.3658 0.6364
O11 0.6478 0.8177 0.2500
O12 0.4451 0.5205 0.1332
O13 0.8949 0.0098 0.8067
O14 0.6621 0.4649 0.0769
O15 0.5926 0.1360 0.0925
O16 0.1025 0.1795 0.4152
O17 0.3980 0.7746 0.9082
O18 0.0926 0.1361 0.0924
O19 0.3143 0.1403 0.4160
O20 0.9036 0.9695 0.6936
O21 0.7859 0.6604 0.9744
O22 0.3904 0.7798 0.3132
O23 0.9838 0.7783 0.4130
O24 0.2228 0.3284 0.7389
O25 0.6008 0.1837 0.4154
O26 0.5092 0.2080 0.3064
O27 0.7719 0.8453 0.0748
O28 0.3194 0.5336 0.6411
O29 0.9748 0.8150 0.0902
O30 0.5966 0.4843 0.2553
O31 0.6809 0.8653 0.8620
O32 0.2746 0.7075 0.5767
O33 0.5744 0.6419 0.3646
O34 0.7544 0.7141 0.2617
O35 0.2301 0.1051 0.6454
O36 0.2623 0.1621 0.9245
O37 0.7295 0.3525 0.1464
O38 0.5937 0.9973 0.9125
O39 0.7808 0.8930 0.4698
O40 0.2541 0.7936 0.7600
O41 0.0937 0.9968 0.9119
O42 0.9917 0.1908 0.9166
O43 0.3911 0.9945 0.4091
O44 0.1811 0.4904 0.3587
O45 0.9327 0.3392 0.2506
O46 0.7411 0.1789 0.5314
O47 0.3489 0.5336 0.5262
O48 0.7573 0.8872 0.3653
O49 0.3107 0.1055 0.1378
O50 0.9829 0.1526 0.5839
O51 0.7623 0.6663 0.5786
O52 0.4030 0.8397 0.1962
O53 0.7544 0.7946 0.7600
O54 0.1093 0.2181 0.8017
O55 0.9290 0.0513 0.0912
O56 0.5548 0.6743 0.4812
O57 0.4917 0.1915 0.9164
O58 0.0147 0.1975 0.1913
O59 0.8146 0.1449 0.4184
O60 0.9290 0.8138 0.5910
O61 0.4750 0.8152 0.0903
O62 0.0513 0.4451 0.9828
O63 0.1715 0.4606 0.4728
O64 0.9229 0.4611 0.4262
O65 0.3523 0.1701 0.0265
O66 0.5920 0.0559 0.5914
O67 0.6066 0.9942 0.2995
O68 0.0596 0.4516 0.5754
O69 0.8173 0.5221 0.2468
O70 0.6642 0.8883 0.9794
O71 0.1065 0.9940 0.2988
O72 0.2857 0.6609 0.9740
O73 0.0928 0.9625 0.1932
O74 0.5962 0.7113 0.7559
O75 0.8907 0.7806 0.3138
O76 0.0077 0.2054 0.3061
O77 0.0977 0.7124 0.7569
O78 0.2298 0.3527 0.1462
O79 0.2783 0.8975 0.4732
O80 0.1620 0.4645 0.0768
O81 0.7416 0.3014 0.0328
O82 0.0891 0.0398 0.5949
O83 0.4314 0.5260 0.7519
O84 0.8938 0.0063 0.4063
O85 0.4250 0.3881 0.9214
O86 0.6092 0.2159 0.7995
O87 0.9434 0.3288 0.6359
O88 0.5938 0.9607 0.1939
O89 0.2402 0.1767 0.5314
O90 0.0751 0.5138 0.8668
O91 0.6721 0.4557 0.4791
O92 0.8988 0.7749 0.9091
O93 0.7253 0.1182 0.2411
O94 0.4290 0.0519 0.0909
O95 0.0963 0.4838 0.2552
O96 0.5948 0.2299 0.6945
O97 0.1472 0.8183 0.2485
O98 0.4126 0.2983 0.5270
O99 0.9346 0.5206 0.7495
O100 0.5149 0.1974 0.1915
O101 0.3960 0.0073 0.8047
O102 0.1815 0.8653 0.8624
O103 0.7604 0.6411 0.8696
O104 0.2542 0.7155 0.2611
O105 0.3168 0.5227 0.2458
O106 0.4854 0.7837 0.4134
O107 0.0550 0.6721 0.4816
O108 0.0872 0.2114 0.6972
O109 0.9451 0.5207 0.1331
O110 0.2721 0.8454 0.0747
O111 0.4161 0.5379 0.0230
O112 0.6482 0.4780 0.7529
O113 0.2246 0.1192 0.2402
O114 0.4317 0.8070 0.5890
O115 0.0034 0.7908 0.8145
O116 0.9250 0.3879 0.9212
O117 0.5749 0.5144 0.8667
O118 0.5750 0.6907 0.0739
O119 0.8144 0.1098 0.7447
O120 0.0745 0.6376 0.3658
O121 0.5513 0.4445 0.9829
O122 0.9034 0.8392 0.1967
O123 0.9161 0.5378 0.0229
O124 0.3123 0.4794 0.9142
O125 0.7623 0.1621 0.9244
O126 0.6532 0.8553 0.5817
O127 0.7246 0.1183 0.6474
O128 0.6799 0.4991 0.3625
O129 0.8523 0.1701 0.0266
O130 0.4735 0.1327 0.5883
O131 0.8505 0.5350 0.5237
O132 0.2548 0.8732 0.3683
O133 0.5728 0.4572 0.5732
O134 0.1448 0.4711 0.7501
O135 0.1635 0.8878 0.9794
O136 0.2673 0.3719 0.4213
O137 0.3985 0.9649 0.6904
O138 0.4230 0.4651 0.4237
O139 0.3150 0.1124 0.7449
O140 0.2592 0.6414 0.8693
O141 0.7271 0.3382 0.7410
O142 0.2416 0.3013 0.0326
O143 0.4326 0.3390 0.2512
O144 0.0139 0.8353 0.6973
S1 0.6448 0.3154 0.7463
S2 0.6435 0.9734 0.2454
S3 0.9775 0.3074 0.5802
S4 0.3129 0.6404 0.9152
S5 0.1412 0.3077 0.7462
S6 0.8132 0.6402 0.9156
S7 0.1430 0.9731 0.2444
S8 0.8116 0.9811 0.4137
S9 0.3096 0.9760 0.4156
La1 0.3409 0.3426 0.1867
La2 0.4965 0.0145 0.8504
La3 0.8378 0.3339 0.6873
La4 0.8407 0.3425 0.1859
La5 0.5013 0.9958 0.3522
La6 0.3397 0.3425 0.6852
La7 0.9957 0.0129 0.8507
La8 0.6676 0.6652 0.0087
La9 0.1675 0.6652 0.0092
La10 0.1650 0.6638 0.5138
La11 0.0036 0.9974 0.3525
La12 0.6656 0.6762 0.5147
Na1 0.5168 0.0404 0.9912
Na2 0.1672 0.6827 0.1641
Na3 0.3482 0.3350 0.8314
Na4 0.3225 0.6684 0.0850
Na5 0.4932 0.6843 0.9116
Na6 0.3230 0.9830 0.5869
Na7 0.3520 0.3398 0.3346
Na8 0.6804 0.3521 0.2402
Na9 0.1804 0.3512 0.2409
Na10 0.0193 0.6995 0.5737
Na11 0.8476 0.6732 0.4064
Na12 0.6556 0.3486 0.5810
Na13 0.6781 0.0070 0.7402
Na14 0.1800 0.0107 0.7399
Na15 0.5203 0.0162 0.4943
Na16 0.0192 0.3592 0.0809
Na17 0.0235 0.0384 0.4963
Na18 0.5191 0.3595 0.0807
Na19 0.8549 0.3389 0.3297
Na20 0.9931 0.6841 0.9130
Na21 0.6674 0.6830 0.1628
Na22 0.3481 0.6591 0.4078
Na23 0.8462 0.3316 0.8342
Na24 0.1556 0.9689 0.0815
Na25 0.0165 0.0398 0.9919
Na26 0.1797 0.6523 0.6664
Na27 0.6750 0.6703 0.6603
Na28 0.6557 0.9688 0.0811
Na29 0.8229 0.6696 0.0847
Na30 0.5139 0.6736 0.5809
Si1 0.9799 0.6420 0.0782
Si2 0.8367 0.0372 0.0831
Si3 0.5037 0.7112 0.7535
Si4 0.4799 0.6416 0.0783
Si5 0.3431 0.7133 0.2542
Si6 0.6813 0.3168 0.0871
Si7 0.8437 0.7133 0.2548
Si8 0.6747 0.9851 0.9198
Si9 0.8379 0.6370 0.5830
Si10 0.5108 0.3772 0.9210
Si11 0.1771 0.3626 0.4181
Si12 0.5052 0.2999 0.2504
Si13 0.6797 0.0467 0.5878
Si14 0.6715 0.3693 0.4195
Si15 0.0051 0.7062 0.7551
Si16 0.3359 0.6368 0.5833
Si17 0.5107 0.6437 0.4203
Si18 0.1748 0.9859 0.9201
Si19 0.0106 0.3765 0.9211
Si20 0.1814 0.3166 0.0870
Si21 0.3365 0.0375 0.0830
Si22 0.4786 0.3158 0.5798
Si23 0.0054 0.3001 0.2504
Si24 0.8428 0.9745 0.7506
Si25 0.1803 0.0482 0.5866
Si26 0.3425 0.9757 0.7496
Si27 0.0117 0.6431 0.4206
Ta1 0.9906 0.9998 0.1445
Ta2 0.4900 0.9998 0.1440
Ta3 0.9931 0.9771 0.6481
Ta4 0.8271 0.3434 0.4785
Ta5 0.6583 0.6406 0.3137
Ta6 0.3342 0.3228 0.9832
Ta7 0.1595 0.6357 0.3149
Ta8 0.4896 0.9794 0.6428
Ta9 0.8341 0.3226 0.9833
Ta10 0.1614 0.6831 0.8151
Ta11 0.6597 0.6825 0.8136
Ta12 0.3348 0.3407 0.4845

---

| no. | raw total energy (eV per atom) |
| --- | --- |
| 1 | -7.713 |
| 2 | -7.927 |
| 3 | -7.320 |